# 1
Sm2WO6: relaxed, r²SCAN.

Cell lengths 5.3329, 9.2212, 10.0851 Å; angles 90.00, 90.00, 90.00 degrees
Last column: nearest neighbours and their distance in Å.
Atoms (fractional coordinates):
Sm1 0.0238 0.1037 0.4643  6 O 2.29-2.46
Sm2 0.0331 0.2189 0.8704  7 O 2.36-2.43
Sm3 0.4669 0.7811 0.3704  7 O 2.36-2.43
Sm4 0.4762 0.8963 0.9643  6 O 2.29-2.46
Sm5 0.5238 0.3963 0.5357  6 O 2.29-2.46
Sm6 0.5331 0.2811 0.1296  7 O 2.36-2.43
Sm7 0.9669 0.7189 0.6296  7 O 2.36-2.43
Sm8 0.9762 0.6037 0.0357  6 O 2.29-2.46
W1 0.0419 0.4959 0.3494  6 O 1.86-2.01
W2 0.4581 0.5041 0.8494  6 O 1.86-2.01
W3 0.5419 0.0041 0.6506  6 O 1.86-2.01
W4 0.9581 0.9959 0.1506  6 O 1.86-2.01
O1 0.0715 0.8480 0.0268  1 W 1.95
O2 0.1717 0.9509 0.2903  1 W 1.86
O3 0.1876 0.6360 0.8204  1 W 1.91
O4 0.1875 0.6383 0.2382  1 W 1.89
O5 0.2238 0.1113 0.0660  1 W 1.97
O6 0.2486 0.4100 0.9911  1 W 2.01
O7 0.2514 0.5900 0.4911  1 W 2.01
O8 0.2762 0.8887 0.5660  1 W 1.97
O9 0.3125 0.3617 0.7382  1 W 1.89
O10 0.3124 0.3640 0.3204  1 W 1.91
O11 0.3283 0.0491 0.7903  1 W 1.86
O12 0.4285 0.1520 0.5268  1 W 1.95
O13 0.5715 0.6520 0.9732  1 W 1.95
O14 0.6717 0.5491 0.7097  1 W 1.86
O15 0.6875 0.8617 0.7618  1 W 1.89
O16 0.6876 0.8640 0.1796  1 W 1.91
O17 0.7238 0.3887 0.9340  1 W 1.97
O18 0.7486 0.0900 0.0089  1 W 2.01
O19 0.7514 0.9100 0.5089  1 W 2.01
O20 0.7762 0.6113 0.4340  1 W 1.97
O21 0.8124 0.1360 0.6796  1 W 1.91
O22 0.8125 0.1383 0.2618  1 W 1.89
O23 0.8283 0.4509 0.2097  1 W 1.86
O24 0.9285 0.3480 0.4732  1 W 1.95

Output
Energy relative to the lowest polymorph listed for this composition, kcal/mol of atoms: 0.048
Calculated formation energy, eV per atom: -3.27
Size of the total moment, Bohr magnetons per cell: 0.000
SG: No. 19
Calculated total energy, eV for the cell shown: -704.3
Crystal system: orthorhombic



# 2
SmY15O24: relaxed, r²SCAN.

Cell lengths 9.1976, 9.1976, 10.6254 Å; angles 125.19, 125.19, 70.61 degrees
Last column: nearest neighbours and their distance in Å.
Atoms (fractional coordinates):
Sm1 0.0000 0.0000 0.0000  6 O 2.30-2.39
Y1 0.0317 0.4665 0.7484  6 O 2.27-2.29
Y2 0.0316 0.4699 0.2509  6 O 2.28-2.29
Y3 0.0640 0.9360 0.5000  6 O 2.25-2.34
Y4 0.2500 0.6848 0.7166  6 O 2.25-2.34
Y5 0.2819 0.2190 0.9672  6 O 2.25-2.34
Y6 0.2831 0.2188 0.4692  6 O 2.24-2.34
Y7 0.3152 0.7500 0.2834  6 O 2.25-2.34
Y8 0.4989 0.5011 0.0000  6 O 2.25-2.33
Y9 0.5301 0.9684 0.7491  6 O 2.28-2.29
Y10 0.5335 0.9683 0.2516  6 O 2.27-2.29
Y11 0.5643 0.4357 0.5000  6 O 2.25-2.32
Y12 0.7478 0.1862 0.2176  6 O 2.25-2.33
Y13 0.7812 0.7169 0.5308  6 O 2.24-2.34
Y14 0.7810 0.7181 0.0328  6 O 2.25-2.34
Y15 0.8138 0.2522 0.7824  6 O 2.25-2.33
O1 0.0007 0.2437 0.2659  3 Y 2.25-2.29, 1 Sm 2.39
O2 0.0208 0.1973 0.7072  4 Y 2.25-2.34
O3 0.0426 0.7334 0.7872  3 Y 2.26-2.33, 1 Sm 2.30
O4 0.0631 0.6974 0.2394  4 Y 2.25-2.34
O5 0.0738 0.2348 0.0225  3 Y 2.25-2.33, 1 Sm 2.32
O6 0.2596 0.5006 0.0204  4 Y 2.25-2.33
O7 0.2666 0.9574 0.2128  3 Y 2.26-2.33, 1 Sm 2.30
O8 0.2719 0.4251 0.7186  4 Y 2.24-2.34
O9 0.2924 0.0106 0.5219  4 Y 2.25-2.34
O10 0.3025 0.4791 0.4887  4 Y 2.25-2.34
O11 0.3026 0.9369 0.7606  4 Y 2.25-2.34
O12 0.4883 0.2068 0.2177  4 Y 2.25-2.33
O13 0.4994 0.7404 0.9796  4 Y 2.25-2.33
O14 0.5209 0.6975 0.5113  4 Y 2.25-2.34
O15 0.5422 0.2393 0.9888  4 Y 2.25-2.33
O16 0.5641 0.1980 0.5212  4 Y 2.25-2.32
O17 0.5749 0.7281 0.2814  4 Y 2.24-2.34
O18 0.7563 0.9993 0.7341  3 Y 2.25-2.29, 1 Sm 2.39
O19 0.7607 0.4578 0.0112  4 Y 2.25-2.33
O20 0.7652 0.9262 0.9775  3 Y 2.25-2.33, 1 Sm 2.32
O21 0.7932 0.5117 0.7823  4 Y 2.25-2.33
O22 0.8020 0.4359 0.4788  4 Y 2.25-2.32
O23 0.8027 0.9792 0.2928  4 Y 2.25-2.34
O24 0.9894 0.7076 0.4781  4 Y 2.25-2.34

Output
Calculated formation energy, eV per atom: -3.89
Size of the total moment, Bohr magnetons per cell: 0.000
SG: No. 5
Calculated total energy, eV for the cell shown: -633.5
Crystal system: monoclinic